# Ba14U2V4S25O PBE+U optimized geometry
data_Ba14U2V4S25O
_chemical_formula_sum 'Ba28 U4 V8 S50 O2'
_space_group_name_H-M_alt 'I 4 2 2'
_space_group_IT_number 97
_space_group_name_Hall 'I 4 2'
_cell_length_a 16.335
_cell_length_b 16.335
_cell_length_c 9.649
_cell_angle_alpha 90.00
_cell_angle_beta 90.00
_cell_angle_gamma 90.00
loop_
_atom_site_label
_atom_site_type_symbol
_atom_site_fract_x
_atom_site_fract_y
_atom_site_fract_z
Ba1 Ba 0.000 0.211 0.000
Ba2 Ba 0.000 0.215 0.500
Ba3 Ba 0.000 0.500 0.000
Ba4 Ba 0.213 0.287 0.750
U1 U 0.000 0.000 0.275
V1 V 0.125 0.375 0.250
S1 S 0.000 0.000 0.000
S2 S 0.011 0.346 0.754
S3 S 0.109 0.117 0.744
S4 S 0.174 0.325 0.053
O1 O 0.000 0.000 0.500
# Magnetic moment in μB/f.u.: 3.61
# Formation enthalpy at 0 K in eV per atom: -1.97
# DFT total energy in eV per atom: -5.755

---

# FeOF PBE+U optimized geometry
data_FeOF
_chemical_formula_sum 'Fe6 O6 F6'
_space_group_name_H-M_alt 'C 1 m 1'
_space_group_IT_number 8
_space_group_name_Hall 'C -2y'
_cell_length_a 14.548
_cell_length_b 3.082
_cell_length_c 4.788
_cell_angle_alpha 90.00
_cell_angle_beta 90.54
_cell_angle_gamma 90.00
loop_
_atom_site_label
_atom_site_type_symbol
_atom_site_fract_x
_atom_site_fract_y
_atom_site_fract_z
Fe1 Fe 0.000 0.000 0.000
Fe2 Fe 0.156 0.500 0.454
Fe3 Fe 0.318 0.000 0.898
O1 O 0.097 0.000 0.264
O2 O 0.219 0.000 0.636
O3 O 0.390 0.500 0.774
F1 F 0.059 0.500 0.769
F2 F 0.260 0.500 0.144
F3 F 0.430 0.000 0.197
# Magnetic moment in μB/f.u.: 5.00
# Formation enthalpy at 0 K in eV per atom: -1.99
# DFT total energy in eV per atom: -5.965